Record 1
DFT (PBE+U) results for a relaxed structure of Mn2Sb2O7.

Total energy after the MP2020 corrections ... -7.529 eV per atom
Energy of formation from the pure elements ... -21.60 eV/f.u.
Total magnetic moment ... 10.0 μB per formula unit
Energy above the lowest structure with this stoichiometry ... 0.0000 eV/atom
E ... -448.018 eV per cell

a b c (Å): 7.3337 7.3337 17.5517
angles (deg): 90.00 90.00 120.00
With the nearest neighbours (Å) after each atom.
Sites, in units of the cell vectors:
Mn1 0.1901 0.1901 0.5000  2 O 1.99
Mn2 0.8099 0.0000 0.8333  2 O 1.99
Mn3 0.3638 0.4881 0.3354  4 O 2.19-2.34
Mn4 0.6362 0.1243 0.9979  4 O 2.19-2.34
Mn5 0.8680 0.0000 0.3333  4 O 2.22-2.46
Mn6 0.4881 0.3638 0.6646  4 O 2.19-2.34
Mn7 0.1243 0.6362 0.0021  4 O 2.19-2.34
Mn8 0.1320 0.1320 0.0000  4 O 2.22-2.46
Mn9 0.0000 0.8099 0.1667  2 O 1.99
Mn10 0.5119 0.8757 0.6688  4 O 2.19-2.34
Mn11 0.0000 0.8680 0.6667  4 O 2.22-2.46
Mn12 0.8757 0.5119 0.3312  4 O 2.19-2.34
Sb1 0.5002 0.8377 0.1710  6 O 1.97-2.01
Sb2 0.1623 0.6625 0.5043  6 O 1.97-2.01
Sb3 0.8377 0.5002 0.8290  6 O 1.97-2.01
Sb4 0.3375 0.4998 0.8377  6 O 1.97-2.01
Sb5 0.3107 0.0000 0.3333  6 O 1.99-2.02
Sb6 0.3342 0.0000 0.8333  6 O 2.02-2.04
Sb7 0.6893 0.6893 0.0000  6 O 1.99-2.02
Sb8 0.6625 0.1623 0.4957  6 O 1.97-2.01
Sb9 0.0000 0.3342 0.1667  6 O 2.02-2.04
Sb10 0.4998 0.3375 0.1623  6 O 1.97-2.01
Sb11 0.0000 0.3107 0.6667  6 O 1.99-2.02
Sb12 0.6658 0.6658 0.5000  6 O 2.02-2.04
O1 0.9682 0.7705 0.5314  2 Sb 2.00-2.03
O2 0.5663 0.8269 0.0627  2 Sb 1.97-1.99
O3 0.0588 0.3707 0.2797  1 Sb 2.02, 2 Mn 2.19-2.25
O4 0.4072 0.5620 0.9474  2 Sb 1.99-2.02
O5 0.0318 0.8023 0.8019  2 Sb 2.00-2.03
O6 0.0356 0.8513 0.2791  1 Sb 1.99, 2 Mn 1.99-2.22
O7 0.1731 0.7394 0.3960  2 Sb 1.97-1.99
O8 0.3119 0.9412 0.9464  1 Sb 2.02, 2 Mn 2.19-2.25
O9 0.1970 0.6452 0.1424  2 Sb 2.01-2.04
O10 0.1843 0.1487 0.3875  1 Sb 1.99, 2 Mn 1.99-2.22
O11 0.5518 0.3548 0.5243  2 Sb 2.01-2.04
O12 0.3707 0.0588 0.7203  1 Sb 2.02, 2 Mn 2.19-2.25
O13 0.4482 0.8030 0.8090  2 Sb 2.01-2.04
O14 0.6881 0.6293 0.3869  1 Sb 2.02, 2 Mn 2.19-2.25
O15 0.7394 0.1731 0.6040  2 Sb 1.97-1.99
O16 0.5565 0.6131 0.2034  2 Sb 1.97-1.98
O17 0.8023 0.0318 0.1981  2 Sb 2.00-2.03
O18 0.9412 0.3119 0.0536  1 Sb 2.02, 2 Mn 2.19-2.25
O19 0.8451 0.4380 0.7192  2 Sb 1.99-2.02
O20 0.2606 0.4337 0.7294  2 Sb 1.97-1.99
O21 0.1977 0.2295 0.1353  2 Sb 2.00-2.03
O22 0.7705 0.9682 0.4686  2 Sb 2.00-2.03
O23 0.8030 0.4482 0.1910  2 Sb 2.01-2.04
O24 0.5928 0.1549 0.3859  2 Sb 1.99-2.02
O25 0.6452 0.1970 0.8576  2 Sb 2.01-2.04
O26 0.1549 0.5928 0.6141  2 Sb 1.99-2.02
O27 0.4337 0.2606 0.2706  2 Sb 1.97-1.99
O28 0.8157 0.9644 0.9458  1 Sb 1.99, 2 Mn 1.99-2.22
O29 0.6131 0.5565 0.7966  2 Sb 1.97-1.98
O30 0.3869 0.9434 0.5367  2 Sb 1.97-1.98
O31 0.9434 0.3869 0.4633  2 Sb 1.97-1.98
O32 0.2295 0.1977 0.8647  2 Sb 2.00-2.03
O33 0.0566 0.4435 0.8701  2 Sb 1.97-1.98
O34 0.4435 0.0566 0.1299  2 Sb 1.97-1.98
O35 0.8269 0.5663 0.9373  2 Sb 1.97-1.99
O36 0.1487 0.1843 0.6125  1 Sb 1.99, 2 Mn 1.99-2.22
O37 0.6293 0.6881 0.6131  1 Sb 2.02, 2 Mn 2.19-2.25
O38 0.8513 0.0356 0.7209  1 Sb 1.99, 2 Mn 1.99-2.22
O39 0.3548 0.5518 0.4757  2 Sb 2.01-2.04
O40 0.5620 0.4072 0.0526  2 Sb 1.99-2.02
O41 0.9644 0.8157 0.0542  1 Sb 1.99, 2 Mn 1.99-2.22
O42 0.4380 0.8451 0.2808  2 Sb 1.99-2.02

***

Record 2
DFT (PBE+U) results for a relaxed structure of Li3Co4SbO8.

Total energy after the MP2020 corrections ... -6.596 eV per atom
Energy of formation from the pure elements ... -27.66 eV/f.u.
Total magnetic moment ... 12.0 μB per formula unit
E ... -93.481 eV per cell

a b c (Å): 6.0049 6.0049 6.1784
angles (deg): 59.91 59.91 61.72
With the nearest neighbours (Å) after each atom.
Sites, in units of the cell vectors:
Li1 0.0000 0.5000 0.0000  6 O 2.06-2.27
Li2 0.5000 0.0000 0.0000  6 O 2.06-2.27
Li3 0.0000 0.0000 0.5000  6 O 2.17-2.33
Co1 0.0000 0.0000 0.0000  6 O 2.10-2.18
Co2 0.5000 0.0000 0.5000  6 O 2.10-2.16
Co3 0.0000 0.5000 0.5000  6 O 2.10-2.16
Co4 0.5000 0.5000 0.5000  6 O 2.09-2.19
Sb1 0.5000 0.5000 0.0000  6 O 2.01-2.03
O1 0.7402 0.7402 0.7553  1 Sb 2.01, 2 Co 2.16, 3 Li 2.17-2.20
O2 0.2711 0.7367 0.2285  1 Sb 2.03, 1 Li 2.06, 3 Co 2.13-2.19
O3 0.7367 0.2711 0.2285  1 Sb 2.03, 1 Li 2.06, 3 Co 2.13-2.19
O4 0.2598 0.2598 0.2447  1 Sb 2.01, 2 Co 2.16, 3 Li 2.17-2.20
O5 0.2501 0.2501 0.7308  4 Co 2.09-2.10, 2 Li 2.27
O6 0.7289 0.2633 0.7715  1 Sb 2.03, 1 Li 2.06, 3 Co 2.13-2.19
O7 0.2633 0.7289 0.7715  1 Sb 2.03, 1 Li 2.06, 3 Co 2.13-2.19
O8 0.7499 0.7499 0.2692  4 Co 2.09-2.10, 2 Li 2.27

***

Record 3
DFT (PBE+U) results for a relaxed structure of Li6V3P8O29.

Total energy after the MP2020 corrections ... -7.559 eV per atom
Energy of formation from the pure elements ... -122.21 eV/f.u.
Total magnetic moment ... 3.0 μB per formula unit
Energy above the lowest structure with this stoichiometry ... 0.0058 eV/atom
E ... -645.388 eV per cell

a b c (Å): 9.7764 9.7764 13.9595
angles (deg): 89.94 89.94 59.98
With the nearest neighbours (Å) after each atom.
Sites, in units of the cell vectors:
Li1 0.7629 0.3359 0.3076  4 O 2.03-2.16
Li2 0.8986 0.7622 0.3082  4 O 1.95-2.16
Li3 0.7632 0.9031 0.8160  4 O 1.99-2.14
Li4 0.3356 0.7639 0.8125  4 O 1.98-2.18
Li5 0.3295 0.9020 0.3079  4 O 1.99-2.20
Li6 0.6641 0.2371 0.6924  4 O 2.03-2.16
Li7 0.2378 0.1014 0.6918  4 O 1.95-2.16
Li8 0.0969 0.2368 0.1840  4 O 1.99-2.14
Li9 0.2361 0.6644 0.1875  4 O 1.98-2.18
Li10 0.0980 0.6705 0.6921  4 O 1.99-2.20
Li11 0.9924 0.0595 0.7672  3 O 1.98-2.09
Li12 0.9405 0.0076 0.2328  3 O 1.98-2.09
V1 0.5612 0.0027 0.0057  6 O 1.86-2.02
V2 0.4341 0.0002 0.4986  6 O 1.91-1.99
V3 0.5687 0.4313 0.5000  6 O 1.92-1.98
V4 0.4404 0.5596 0.0000  6 O 1.91-2.05
V5 0.9973 0.4388 0.9943  6 O 1.86-2.02
V6 0.9998 0.5659 0.5014  6 O 1.91-1.99
P1 0.9177 0.3047 0.5910  4 O 1.49-1.63
P2 0.7793 0.3084 0.0925  4 O 1.51-1.62
P3 0.9122 0.7761 0.0921  4 O 1.52-1.63
P4 0.6637 0.6721 0.8829  4 O 1.49-1.58
P5 0.6667 0.6656 0.3807  4 O 1.49-1.58
P6 0.7693 0.9134 0.5960  4 O 1.50-1.61
P7 0.6953 0.0823 0.4090  4 O 1.49-1.63
P8 0.3160 0.7719 0.5920  4 O 1.51-1.62
P9 0.6916 0.2207 0.9075  4 O 1.51-1.62
P10 0.3110 0.9111 0.0929  4 O 1.51-1.61
P11 0.2239 0.0878 0.9079  4 O 1.52-1.63
P12 0.3279 0.3363 0.1171  4 O 1.49-1.58
P13 0.3344 0.3333 0.6193  4 O 1.49-1.58
P14 0.0866 0.2307 0.4040  4 O 1.50-1.61
P15 0.2281 0.6840 0.4080  4 O 1.51-1.62
P16 0.0889 0.6890 0.9071  4 O 1.51-1.61
O1 0.0019 0.2341 0.3134  1 P 1.50
O2 0.9212 0.3351 0.0891  1 P 1.54
O3 0.7806 0.2118 0.8171  1 P 1.51
O4 0.7462 0.3343 0.5924  1 P 1.55
O5 0.9204 0.4604 0.5831  1 P 1.54
O6 0.8095 0.5197 0.9260  1 P 1.58
O7 0.9213 0.6153 0.0834  1 P 1.53
O8 0.9988 0.7777 0.8187  1 P 1.51
O9 0.9169 0.7452 0.5930  1 P 1.55
O10 0.6813 0.5085 0.4216  1 P 1.58
O11 0.6224 0.4665 0.0806  1 P 1.55
O12 0.8096 0.6792 0.4230  1 P 1.58
O13 0.6573 0.6800 0.7764  1 P 1.49
O14 0.6697 0.6645 0.2738  1 P 1.49
O15 0.6753 0.8144 0.9259  1 P 1.57
O16 0.4750 0.6188 0.5770  1 P 1.54
O17 0.5122 0.6758 0.9256  1 P 1.58
O18 0.7443 0.9149 0.0920  1 P 1.52
O19 0.7910 0.0075 0.5085  2 P 1.61-1.63
O20 0.8019 0.9896 0.3289  1 P 1.49
O21 0.7659 0.9981 0.6866  1 P 1.50
O22 0.6175 0.9062 0.5780  1 P 1.54
O23 0.5094 0.8084 0.4211  1 P 1.58
O24 0.6649 0.0788 0.9109  1 P 1.54
O25 0.4704 0.9047 0.0817  1 P 1.54
O26 0.3340 0.7431 0.0948  1 P 1.54
O27 0.7996 0.2004 0.0000  2 P 1.62
O28 0.7882 0.2194 0.1829  1 P 1.51
O29 0.2268 0.7712 0.3185  1 P 1.51
O30 0.6657 0.2538 0.4076  1 P 1.55
O31 0.5396 0.0796 0.4169  1 P 1.54
O32 0.3362 0.9195 0.5909  1 P 1.55
O33 0.4803 0.1905 0.0740  1 P 1.58
O34 0.3847 0.0787 0.9166  1 P 1.53
O35 0.2161 0.0000 0.8191  1 P 1.53
O36 0.2223 0.0012 0.1813  1 P 1.51
O37 0.2032 0.9971 0.0002  2 P 1.61-1.63
O38 0.2548 0.0831 0.4070  1 P 1.55
O39 0.4915 0.3187 0.5784  1 P 1.58
O40 0.5335 0.3776 0.9194  1 P 1.55
O41 0.3208 0.1904 0.5770  1 P 1.58
O42 0.3355 0.3303 0.7262  1 P 1.49
O43 0.3200 0.3427 0.2236  1 P 1.49
O44 0.1856 0.3247 0.0741  1 P 1.57
O45 0.3812 0.5250 0.4230  1 P 1.54
O46 0.3242 0.4878 0.0744  1 P 1.58
O47 0.0851 0.2557 0.9080  1 P 1.52
O48 0.9925 0.2090 0.4915  2 P 1.61-1.63
O49 0.0104 0.1981 0.6711  1 P 1.49
O50 0.0938 0.3825 0.4220  1 P 1.54
O51 0.1916 0.4906 0.5789  1 P 1.58
O52 0.0953 0.5296 0.9183  1 P 1.54
O53 0.2569 0.6660 0.9052  1 P 1.54
O54 0.2288 0.7732 0.6815  1 P 1.51
O55 0.2064 0.7936 0.5000  2 P 1.62
O56 0.0805 0.6638 0.4091  1 P 1.55
O57 0.0000 0.7839 0.1809  1 P 1.53
O58 0.0029 0.7968 0.9998  2 P 1.61-1.63